Material: NaAlBP2H3O10
Method: DFT, GGA-PBE
State: relaxed

Unit cell a=10.5661 b=8.0805 c=9.1128 alpha=90.00 beta=116.99 gamma=90.00
Space group C2/c (No. 15)
Unique sites:
Na 0.0000 0.1301 0.2500 [4 per cell]
Al 0.2500 0.2500 0.0000 [4 per cell]
B 0.0000 0.4663 0.7500 [4 per cell]
P 0.2267 0.0652 0.6811 [8 per cell]
H 0.0032 0.3170 0.5670 [8 per cell]
H 0.2500 0.2500 0.5000 [4 per cell]
O 0.0672 0.3632 0.9013 [8 per cell]
O 0.1069 0.4228 0.2427 [8 per cell]
O 0.1646 0.2007 0.5447 [8 per cell]
O 0.1780 0.1086 0.1085 [8 per cell]
O 0.1810 0.0971 0.8156 [8 per cell]

Calculated values
M_tot = 0.000 μB/atom
Energy relative to the elements = -2497 meV/atom
Total energy after the MP2020 corrections = -7.065 eV/atom
VASP energy = -6.68 eV per atom

Material: Ag6SnSb
Method: DFT, GGA-PBE
State: relaxed

Unit cell a=4.8704 b=6.1447 c=5.2784 alpha=90.00 beta=90.00 gamma=90.00
Space group Pmm2 (No. 25)
Unique sites:
Ag 0.0000 0.0000 0.0000 [1 per cell]
Ag 0.0000 0.2482 0.5091 [2 per cell]
Ag 0.5000 0.2481 0.8265 [2 per cell]
Ag 0.5000 0.5000 0.3405 [1 per cell]
Sn 0.5000 0.0000 0.3341 [1 per cell]
Sb 0.0000 0.5000 0.0013 [1 per cell]

Calculated values
Energy relative to the elements = -26 meV/atom
Total energy after the MP2020 corrections = -3.168 eV/atom
VASP energy = -3.14 eV per atom

Material: RbGaS2O8
Method: DFT, GGA-PBE
State: relaxed

Unit cell a=4.8776 b=4.8776 c=8.6216 alpha=90.00 beta=90.00 gamma=120.00
Space group P321 (No. 150)
Unique sites:
Rb 0.0000 0.0000 0.0000 [1 per cell]
Ga 0.0000 0.0000 0.5000 [1 per cell]
S 0.3333 0.6667 0.7049 [2 per cell]
O 0.0849 0.3490 0.6474 [6 per cell]
O 0.3333 0.6667 0.8740 [2 per cell]

Calculated values
M_tot = 0.000 μB/atom
Energy relative to the elements = -2043 meV/atom
Total energy after the MP2020 corrections = -6.365 eV/atom
VASP energy = -5.91 eV per atom

Material: BaAs2
Method: DFT, GGA-PBE
State: relaxed

Unit cell a=6.6851 b=12.7732 c=8.2144 alpha=90.00 beta=127.84 gamma=90.00
Space group Pc (No. 7)
Unique sites:
Ba 0.0000 0.0759 0.0000 [2 per cell]
Ba 0.2791 0.2725 0.5708 [2 per cell]
Ba 0.5512 0.4181 0.2028 [2 per cell]
As 0.1011 0.4845 0.2417 [2 per cell]
As 0.4334 0.0763 0.9080 [2 per cell]
As 0.5746 0.1099 0.4617 [2 per cell]
As 0.7217 0.1561 0.2521 [2 per cell]
As 0.8455 0.3418 0.9991 [2 per cell]
As 0.8985 0.3481 0.7133 [2 per cell]

Calculated values
Energy relative to the elements = -787 meV/atom
Piezoelectric modulus e_max = 0.40 C/m²
VASP energy = -4.53 eV per atom

Material: Ba4Tm2Cu6O13
Method: DFT, GGA-PBE
State: relaxed

Unit cell a=7.7100 b=7.8375 c=23.9551 alpha=90.00 beta=90.00 gamma=90.00
Space group Fmmm (No. 69)
Unique sites:
Ba 0.2416 0.0000 0.0958 [16 per cell]
Tm 0.2500 0.0000 0.2500 [8 per cell]
Cu 0.0000 0.2423 0.0000 [8 per cell]
Cu 0.0000 0.2487 0.3172 [16 per cell]
O 0.0000 0.0000 0.0000 [4 per cell]
O 0.0000 0.0000 0.1902 [8 per cell]
O 0.0000 0.0000 0.3076 [8 per cell]
O 0.0000 0.2284 0.4244 [16 per cell]
O 0.2500 0.2500 0.1920 [16 per cell]

Calculated values
M_tot = 0.000 μB/atom
Energy relative to the elements = -2221 meV/atom
Total energy after the MP2020 corrections = -6.443 eV/atom
VASP energy = -6.09 eV per atom

Material: Na3Mg2Ta2P5SO24
Method: DFT, GGA-PBE
State: relaxed

Unit cell a=8.7227 b=8.7595 c=22.5942 alpha=89.98 beta=89.85 gamma=60.18
Space group P1 (No. 1)
Unique sites:
Na 0.0000 0.0000 0.0000 [1 per cell]
Na 0.0052 0.0062 0.4991 [1 per cell]
Na 0.3246 0.3512 0.8335 [1 per cell]
Na 0.3318 0.3479 0.3340 [1 per cell]
Na 0.3541 0.0214 0.2537 [1 per cell]
Na 0.6297 0.0201 0.7539 [1 per cell]
Na 0.6654 0.6751 0.6661 [1 per cell]
Na 0.6727 0.6732 0.1656 [1 per cell]
Na 0.6889 0.3528 0.5871 [1 per cell]
Mg 0.3238 0.3485 0.6913 [1 per cell]
Mg 0.3246 0.3464 0.1914 [1 per cell]
Mg 0.6583 0.6801 0.5248 [1 per cell]
Mg 0.6581 0.6879 0.0255 [1 per cell]
Mg 0.9952 0.0147 0.3582 [1 per cell]
Mg 0.9973 0.0025 0.8584 [1 per cell]
Ta 0.0017 0.0031 0.1522 [1 per cell]
Ta 0.0022 0.0039 0.6522 [1 per cell]
Ta 0.3278 0.3429 0.9850 [1 per cell]
Ta 0.3344 0.3362 0.4856 [1 per cell]
Ta 0.6540 0.6781 0.8185 [1 per cell]
Ta 0.6599 0.6731 0.3184 [1 per cell]
P 0.0045 0.7126 0.7582 [1 per cell]
P 0.0365 0.6282 0.0909 [1 per cell]
P 0.0383 0.3472 0.5908 [1 per cell]
P 0.2805 0.0164 0.7584 [1 per cell]
P 0.2814 0.7133 0.2584 [1 per cell]
P 0.3324 0.6292 0.5902 [1 per cell]
P 0.3353 0.0499 0.0919 [1 per cell]
P 0.3695 0.6814 0.9260 [1 per cell]
P 0.3695 0.9624 0.4242 [1 per cell]
P 0.6188 0.0457 0.5920 [1 per cell]
P 0.6694 0.9643 0.9242 [1 per cell]
P 0.6697 0.3809 0.4256 [1 per cell]
P 0.7064 0.0135 0.2580 [1 per cell]
P 0.7073 0.2968 0.7574 [1 per cell]
P 0.9985 0.2973 0.2570 [1 per cell]
S 0.6191 0.3445 0.0901 [1 per cell]
S 0.9487 0.3854 0.9238 [1 per cell]
S 0.9520 0.6779 0.4236 [1 per cell]
O 0.0215 0.8035 0.8113 [1 per cell]
O 0.0220 0.1729 0.5959 [1 per cell]
O 0.0243 0.8171 0.0964 [1 per cell]
O 0.0290 0.1834 0.3103 [1 per cell]
O 0.1249 0.3681 0.6448 [1 per cell]
O 0.1273 0.5225 0.1445 [1 per cell]
O 0.1312 0.3724 0.9284 [1 per cell]
O 0.1313 0.5107 0.4279 [1 per cell]
O 0.1565 0.0410 0.0961 [1 per cell]
O 0.1574 0.5315 0.7487 [1 per cell]
O 0.1582 0.3195 0.2480 [1 per cell]
O 0.1594 0.3124 0.5338 [1 per cell]
O 0.1599 0.8157 0.5959 [1 per cell]
O 0.1610 0.5414 0.0339 [1 per cell]
O 0.1733 0.0368 0.8124 [1 per cell]
O 0.1753 0.8035 0.3120 [1 per cell]
O 0.1873 0.9895 0.4152 [1 per cell]
O 0.1889 0.8359 0.9158 [1 per cell]
O 0.1990 0.9773 0.7012 [1 per cell]
O 0.2009 0.8404 0.2014 [1 per cell]
O 0.2979 0.5427 0.5335 [1 per cell]
O 0.3025 0.1738 0.0356 [1 per cell]
O 0.3162 0.5306 0.2478 [1 per cell]
O 0.3226 0.1621 0.7491 [1 per cell]
O 0.3557 0.1338 0.1470 [1 per cell]
O 0.3584 0.1506 0.4298 [1 per cell]
O 0.3588 0.5043 0.9306 [1 per cell]
O 0.3627 0.5158 0.6437 [1 per cell]
O 0.4625 0.8547 0.4772 [1 per cell]
O 0.4641 0.6948 0.9788 [1 per cell]
O 0.4691 0.7087 0.2627 [1 per cell]
O 0.4725 0.8397 0.7629 [1 per cell]
O 0.4869 0.8661 0.0828 [1 per cell]
O 0.4904 0.3736 0.4294 [1 per cell]
O 0.4913 0.1510 0.9307 [1 per cell]
O 0.4908 0.8792 0.3659 [1 per cell]
O 0.4918 0.6523 0.5815 [1 per cell]
O 0.4933 0.6439 0.8681 [1 per cell]
O 0.5147 0.3669 0.1424 [1 per cell]
O 0.5156 0.1317 0.6472 [1 per cell]
O 0.5201 0.1629 0.2482 [1 per cell]
O 0.5255 0.3189 0.7482 [1 per cell]
O 0.5318 0.1745 0.5358 [1 per cell]
O 0.5369 0.3117 0.0353 [1 per cell]
O 0.6335 0.8780 0.8662 [1 per cell]
O 0.6364 0.5061 0.3691 [1 per cell]
O 0.6448 0.4943 0.0808 [1 per cell]
O 0.6484 0.8644 0.5814 [1 per cell]
O 0.6892 0.4665 0.4804 [1 per cell]
O 0.6899 0.8388 0.2636 [1 per cell]
O 0.6905 0.8529 0.9770 [1 per cell]
O 0.6947 0.4828 0.7635 [1 per cell]
O 0.7933 0.0339 0.3120 [1 per cell]
O 0.7936 0.1829 0.8104 [1 per cell]
O 0.7976 0.1774 0.0943 [1 per cell]
O 0.8037 0.0427 0.5954 [1 per cell]
O 0.8209 0.9968 0.9150 [1 per cell]
O 0.8218 0.1984 0.4157 [1 per cell]
O 0.8236 0.7068 0.7632 [1 per cell]
O 0.8248 0.2137 0.6989 [1 per cell]
O 0.8269 0.4843 0.2635 [1 per cell]
O 0.8270 0.9786 0.2008 [1 per cell]
O 0.8467 0.4672 0.9765 [1 per cell]
O 0.8481 0.6988 0.4761 [1 per cell]
O 0.8522 0.4974 0.5814 [1 per cell]
O 0.8551 0.6534 0.0810 [1 per cell]
O 0.8703 0.6451 0.3690 [1 per cell]
O 0.8711 0.4988 0.8692 [1 per cell]
O 0.9619 0.8402 0.7013 [1 per cell]
O 0.9635 0.2106 0.2002 [1 per cell]
O 0.9763 0.2097 0.9152 [1 per cell]
O 0.9767 0.8284 0.4151 [1 per cell]

Calculated values
M_tot = 0.000 μB/atom
Energy relative to the elements = -2800 meV/atom
Total energy after the MP2020 corrections = -7.688 eV/atom
VASP energy = -7.24 eV per atom

Material: Cs2Pr10Co2I17
Method: DFT, GGA-PBE
State: relaxed

Unit cell a=13.7208 b=19.0321 c=10.0061 alpha=90.00 beta=95.31 gamma=90.00
Space group C2/m (No. 12)
Unique sites:
Cs 0.0000 0.1741 0.0000 [4 per cell]
Pr 0.0626 0.5000 0.6765 [4 per cell]
Pr 0.1422 0.3508 0.4278 [8 per cell]
Pr 0.1750 0.0000 0.4446 [4 per cell]
Pr 0.2043 0.5000 0.1877 [4 per cell]
Co 0.1409 0.5000 0.4306 [4 per cell]
I 0.0000 0.5000 0.0000 [2 per cell]
I 0.0626 0.0000 0.7177 [4 per cell]
I 0.0735 0.3267 0.7259 [8 per cell]
I 0.1413 0.1690 0.4205 [8 per cell]
I 0.2118 0.0000 0.1307 [4 per cell]
I 0.2176 0.3331 0.1383 [8 per cell]

Calculated values
M_tot = 0.032 μB/atom
Energy relative to the elements = -1445 meV/atom
Total energy after the MP2020 corrections = -4.339 eV/atom
VASP energy = -4.13 eV per atom

Material: Sm3BeCrS7
Method: DFT, GGA-PBE
State: relaxed

Unit cell a=9.7956 b=9.7956 c=5.9969 alpha=90.00 beta=90.00 gamma=120.00
Space group P6_3 (No. 173)
Unique sites:
Sm 0.1425 0.7518 0.0000 [6 per cell]
Be 0.3333 0.6667 0.5827 [2 per cell]
Cr 0.0000 0.0000 0.2223 [2 per cell]
S 0.0811 0.8581 0.4643 [6 per cell]
S 0.1067 0.5196 0.7174 [6 per cell]
S 0.3333 0.6667 0.2340 [2 per cell]

Calculated values
M_tot = 0.250 μB/atom
Energy relative to the elements = -1871 meV/atom
Total energy after the MP2020 corrections = -6.579 eV/atom
VASP energy = -6.29 eV per atom

Material: PrCuO2
Method: DFT, GGA-PBE
State: relaxed

Unit cell a=3.7995 b=3.7995 c=17.1764 alpha=90.00 beta=90.00 gamma=120.00
Space group R-3m (No. 166, hexagonal axes)
Unique sites:
Pr 0.0000 0.0000 0.0000 [3 per cell]
Cu 0.0000 0.0000 0.5000 [3 per cell]
O 0.0000 0.0000 0.3941 [6 per cell]

Calculated values
Energy relative to the elements = -2585 meV/atom
Total energy after the MP2020 corrections = -7.279 eV/atom
VASP energy = -6.94 eV per atom

Material: SnGeP2SO12
Method: DFT, GGA-PBE
State: relaxed

Unit cell a=8.5163 b=8.5499 c=22.1714 alpha=89.68 beta=89.96 gamma=60.13
Space group P1 (No. 1)
Unique sites:
Sn 0.0000 0.0000 0.0000 [1 per cell]
Sn 0.0072 0.0020 0.2939 [1 per cell]
Sn 0.0166 0.0009 0.5070 [1 per cell]
Sn 0.3339 0.3335 0.3380 [1 per cell]
Sn 0.6742 0.6678 0.9584 [1 per cell]
Sn 0.6829 0.6680 0.1687 [1 per cell]
Ge 0.0098 0.0015 0.7911 [1 per cell]
Ge 0.3399 0.3356 0.6282 [1 per cell]
Ge 0.3426 0.3348 0.1272 [1 per cell]
Ge 0.3565 0.3320 0.8319 [1 per cell]
Ge 0.6633 0.6650 0.6712 [1 per cell]
Ge 0.6765 0.6682 0.4639 [1 per cell]
P 0.0578 0.3324 0.2292 [1 per cell]
P 0.2914 0.7099 0.8926 [1 per cell]
P 0.3095 0.9902 0.4007 [1 per cell]
P 0.3414 0.0502 0.7307 [1 per cell]
P 0.3970 0.6568 0.5674 [1 per cell]
P 0.6245 0.0544 0.2294 [1 per cell]
P 0.6318 0.3324 0.7302 [1 per cell]
P 0.6660 0.3787 0.0654 [1 per cell]
P 0.7157 0.0085 0.8926 [1 per cell]
P 0.9587 0.3946 0.5682 [1 per cell]
P 0.9768 0.6593 0.0648 [1 per cell]
P 0.9977 0.7150 0.4010 [1 per cell]
S 0.0173 0.2888 0.8934 [1 per cell]
S 0.0504 0.6256 0.7307 [1 per cell]
S 0.3402 0.6232 0.2300 [1 per cell]
S 0.3804 0.9694 0.0651 [1 per cell]
S 0.6657 0.9588 0.5677 [1 per cell]
S 0.7163 0.3029 0.4006 [1 per cell]
O 0.0033 0.8228 0.0583 [1 per cell]
O 0.0331 0.7993 0.4566 [1 per cell]
O 0.0335 0.8066 0.7379 [1 per cell]
O 0.0494 0.1577 0.2357 [1 per cell]
O 0.0538 0.1817 0.9498 [1 per cell]
O 0.1280 0.5089 0.7848 [1 per cell]
O 0.1289 0.3748 0.2867 [1 per cell]
O 0.1486 0.3746 0.5768 [1 per cell]
O 0.1602 0.4879 0.0757 [1 per cell]
O 0.1677 0.5493 0.6766 [1 per cell]
O 0.1693 0.5311 0.3935 [1 per cell]
O 0.1719 0.0302 0.7405 [1 per cell]
O 0.1750 0.8001 0.2343 [1 per cell]
O 0.1763 0.3044 0.1730 [1 per cell]
O 0.1781 0.3086 0.8843 [1 per cell]
O 0.1808 0.7861 0.9507 [1 per cell]
O 0.1826 0.0400 0.4551 [1 per cell]
O 0.1990 0.9918 0.0570 [1 per cell]
O 0.2043 0.8384 0.8377 [1 per cell]
O 0.2074 0.8229 0.5620 [1 per cell]
O 0.2296 0.9550 0.3431 [1 per cell]
O 0.2993 0.1742 0.6742 [1 per cell]
O 0.3038 0.5257 0.8822 [1 per cell]
O 0.3108 0.5404 0.1759 [1 per cell]
O 0.3376 0.1528 0.3946 [1 per cell]
O 0.3671 0.1465 0.0727 [1 per cell]
O 0.3743 0.5170 0.2859 [1 per cell]
O 0.3788 0.1352 0.7865 [1 per cell]
O 0.3824 0.4854 0.5770 [1 per cell]
O 0.4544 0.8543 0.1191 [1 per cell]
O 0.4752 0.7029 0.6232 [1 per cell]
O 0.4803 0.6906 0.9000 [1 per cell]
O 0.4925 0.8181 0.4122 [1 per cell]
O 0.4938 0.8920 0.0108 [1 per cell]
O 0.4976 0.3592 0.0747 [1 per cell]
O 0.4989 0.6461 0.2241 [1 per cell]
O 0.5009 0.1383 0.5741 [1 per cell]
O 0.5070 0.3793 0.7860 [1 per cell]
O 0.5126 0.8627 0.7209 [1 per cell]
O 0.5141 0.6246 0.5103 [1 per cell]
O 0.5182 0.1329 0.2878 [1 per cell]
O 0.5267 0.1760 0.8842 [1 per cell]
O 0.5342 0.3266 0.3932 [1 per cell]
O 0.5380 0.1742 0.1731 [1 per cell]
O 0.5460 0.2939 0.6747 [1 per cell]
O 0.6252 0.4989 0.0085 [1 per cell]
O 0.6324 0.8833 0.5119 [1 per cell]
O 0.6344 0.8714 0.2232 [1 per cell]
O 0.6521 0.5017 0.7226 [1 per cell]
O 0.7013 0.4613 0.1214 [1 per cell]
O 0.7009 0.8379 0.9011 [1 per cell]
O 0.7038 0.4795 0.4087 [1 per cell]
O 0.7038 0.8429 0.6216 [1 per cell]
O 0.7839 0.0540 0.9504 [1 per cell]
O 0.7925 0.1854 0.4541 [1 per cell]
O 0.8134 0.0355 0.2345 [1 per cell]
O 0.8198 0.1646 0.7406 [1 per cell]
O 0.8265 0.2281 0.3455 [1 per cell]
O 0.8261 0.9817 0.5613 [1 per cell]
O 0.8294 0.6946 0.4107 [1 per cell]
O 0.8380 0.1954 0.0573 [1 per cell]
O 0.8392 0.4803 0.6243 [1 per cell]
O 0.8418 0.9732 0.8380 [1 per cell]
O 0.8522 0.7088 0.1198 [1 per cell]
O 0.8536 0.4677 0.8996 [1 per cell]
O 0.8679 0.4959 0.2248 [1 per cell]
O 0.8678 0.6468 0.7226 [1 per cell]
O 0.8785 0.5112 0.5105 [1 per cell]
O 0.8941 0.6238 0.0080 [1 per cell]
O 0.9573 0.8318 0.3433 [1 per cell]
O 0.9722 0.2092 0.5609 [1 per cell]
O 0.9789 0.2064 0.8410 [1 per cell]

Calculated values
M_tot = 0.000 μB/atom
Energy relative to the elements = -2219 meV/atom
Total energy after the MP2020 corrections = -7.100 eV/atom
VASP energy = -6.61 eV per atom